(1)
DFT (meta-GGA r2SCAN) results for crystalline Cu6OF11 at its relaxed geometry.

```
Cu6OF11
1.0
2.7484 0.8075 -1.4330
-4.7262 3.5108 -8.4070
0.9814 4.9538 3.8983
Cu O F
6 1 11
direct
0.4995 0.6648 0.8322
0.4862 0.0007 0.4796
0.5020 0.3358 0.1679
0.0006 0.6694 0.3344
0.9996 0.3314 0.6656
0.0024 0.0012 0.0118
0.9944 0.9938 0.2980
0.9680 0.6633 0.6291
0.9732 0.3331 0.9638
0.4580 0.8617 0.9258
0.5297 0.4682 0.7352
0.5231 0.8023 0.4053
0.4725 0.1970 0.5985
0.4721 0.5319 0.2640
0.5481 0.1396 0.0761
0.0284 0.6662 0.0352
0.0082 0.0022 0.7061
0.0340 0.3375 0.3715
```

Results
Its distance to the lowest polymorph of the same formula is 0.0035 eV per atom. As for the volume: 199 Å³ per cell. The formation energy is -1.671 eV/atom.

---

(2)
DFT (meta-GGA r2SCAN) results for crystalline Cu6OF11 at its relaxed geometry.

```
Cu6OF11
1.0
-2.6434 -0.8282 -1.5835
-4.0282 -7.1886 10.9482
-2.4584 3.6139 1.3536
Cu O F
6 1 11
direct
0.0193 0.0036 0.0113
0.9996 0.6661 0.9960
0.9796 0.3283 0.9786
0.4960 0.4981 0.4866
0.5028 0.8345 0.5036
0.5054 0.1743 0.5248
0.9939 0.2288 0.7113
0.0299 0.5660 0.6968
0.0390 0.9016 0.7165
0.5270 0.2651 0.2094
0.5294 0.5983 0.1995
0.5497 0.9354 0.2183
0.4890 0.0676 0.8018
0.4394 0.3984 0.7740
0.4685 0.7345 0.7928
0.9686 0.7664 0.2947
0.0110 0.1026 0.3143
0.9521 0.4305 0.2697
```

Results
Its distance to the lowest polymorph of the same formula is 0.0000 eV per atom. As for the volume: 199 Å³ per cell. The formation energy is -1.675 eV/atom.

---

(3)
DFT (meta-GGA r2SCAN) results for crystalline Cu3PF12 at its relaxed geometry.

```
Cu3PF12
1.0
-4.7228 3.4980 -2.7542
0.1115 -5.9334 -2.6284
-1.1016 -0.4796 6.3783
Cu P F
3 1 12
direct
0.5000 0.5000 0.0000
0.5000 0.0000 0.5000
0.0000 0.5000 0.5000
0.0000 0.0000 0.0000
0.5000 0.2500 0.7500
0.7858 0.7858 0.0000
0.7858 0.0000 0.7858
0.2142 0.0000 0.2142
0.0000 0.2142 0.2142
0.2142 0.2142 0.0000
0.0000 0.7858 0.7858
0.5000 0.7500 0.2500
0.7500 0.5000 0.2500
0.2500 0.5000 0.7500
0.7500 0.2500 0.5000
0.2500 0.7500 0.5000
```

Results
As for the volume: 210 Å³ per cell. The formation energy is -2.038 eV/atom.

---

(4)
DFT (meta-GGA r2SCAN) results for crystalline CuPbF6 at its relaxed geometry.

```
CuPbF6
1.0
5.0841 0.0008 0.0262
2.3766 3.8751 2.2967
0.0040 -0.0470 5.5173
Cu Pb F
1 1 6
direct
0.0000 0.0000 0.0000
0.5000 0.0000 0.5000
0.0971 0.1331 0.2450
0.9029 0.8669 0.7550
0.2382 0.1485 0.7659
0.7618 0.8515 0.2341
0.3994 0.4935 0.2544
0.6006 0.5065 0.7456
```

Results
As for the volume: 109 Å³ per cell. The formation energy is -1.962 eV/atom.

---

(5)
DFT (meta-GGA r2SCAN) results for crystalline CuPdF6 at its relaxed geometry.

```
CuPdF6
1.0
-0.4052 3.7437 3.1290
-3.3772 3.4460 -0.7699
-7.2175 -2.3906 5.7238
Cu Pd F
2 2 12
direct
0.5000 0.5000 0.5000
0.0000 0.0000 0.0000
0.2315 0.2733 0.2501
0.7685 0.7267 0.7499
0.2112 0.5411 0.3751
0.7888 0.4589 0.6249
0.8571 0.2432 0.3749
0.1429 0.7568 0.6251
0.6007 0.2908 0.1275
0.3993 0.7092 0.8725
0.2588 0.9968 0.1266
0.7412 0.0032 0.8734
0.0396 0.3540 0.8767
0.9604 0.6460 0.1233
0.5040 0.0949 0.6272
0.4960 0.9051 0.3728
```

Results
As for the volume: 189 Å³ per cell. The formation energy is -1.586 eV/atom.

---

(6)
DFT (meta-GGA r2SCAN) results for crystalline Rb2CuF6 at its relaxed geometry.

```
Rb2CuF6
1.0
3.2274 -4.7508 1.4815
-2.0300 -5.4480 -1.1743
2.5688 -3.2751 -4.2255
Rb Cu F
2 1 6
direct
0.2500 0.2500 0.2500
0.7500 0.7500 0.7500
0.0000 0.0000 0.0000
0.7821 0.2179 0.2179
0.2179 0.7821 0.7821
0.2179 0.7821 0.2179
0.7821 0.2179 0.7821
0.2179 0.2179 0.7821
0.7821 0.7821 0.2179
```

Results
As for the volume: 148 Å³ per cell. The formation energy is -2.177 eV/atom.

---

(7)
DFT (meta-GGA r2SCAN) results for crystalline SrCuSF at its relaxed geometry.

```
SrCuSF
1.0
3.9394 0.0000 0.0000
0.0000 3.9394 0.0000
0.0000 0.0000 8.6470
Sr Cu S F
2 2 2 2
direct
0.0000 0.5000 0.8301
0.5000 0.0000 0.1699
0.5000 0.5000 0.5000
0.0000 0.0000 0.5000
0.5000 0.0000 0.6602
0.0000 0.5000 0.3398
0.5000 0.5000 0.0000
0.0000 0.0000 0.0000
```

Results
As for the volume: 134 Å³ per cell. The formation energy is -2.280 eV/atom.

---

(8)
DFT (meta-GGA r2SCAN) results for crystalline CuSnF6 at its relaxed geometry.

```
CuSnF6
1.0
-2.0539 -2.0373 -4.0653
1.2909 -4.7200 -1.2112
-2.1387 -3.9260 3.0233
Cu Sn F
1 1 6
direct
0.0000 0.0000 0.0000
0.5000 0.0000 0.5000
0.7548 0.8582 0.2459
0.2452 0.1418 0.7541
0.5927 0.5261 0.7362
0.4073 0.4739 0.2638
0.1130 0.1309 0.2491
0.8870 0.8691 0.7509
```

Results
Its distance to the lowest polymorph of the same formula is 0.0000 eV per atom. As for the volume: 103 Å³ per cell. The formation energy is -2.342 eV/atom.

---

(9)
DFT (meta-GGA r2SCAN) results for crystalline CuSnF6 at its relaxed geometry.

```
CuSnF6
1.0
4.5439 -0.0183 3.0492
1.6163 4.2467 3.0493
-0.0267 -0.0185 5.4721
Cu Sn F
1 1 6
direct
0.5000 0.5000 0.5000
0.0000 0.0000 0.0000
0.2496 0.8747 0.6269
0.8747 0.6269 0.2496
0.3731 0.7504 0.1253
0.1253 0.3731 0.7504
0.7504 0.1253 0.3731
0.6269 0.2496 0.8747
```

Results
Its distance to the lowest polymorph of the same formula is 0.0296 eV per atom. As for the volume: 106 Å³ per cell. The formation energy is -2.312 eV/atom.

---

(10)
DFT (meta-GGA r2SCAN) results for crystalline TlCuF3 at its relaxed geometry.

```
TlCuF3
1.0
-1.9961 -2.9840 1.9307
3.3781 -2.3057 -0.0711
1.1440 1.5651 3.6018
Tl Cu F
1 1 3
direct
0.5000 0.5000 0.5000
0.0000 0.0000 0.0000
0.5000 0.0000 0.0000
0.0000 0.0000 0.5000
0.0000 0.5000 0.0000
```

Results
As for the volume: 68 Å³ per cell. The formation energy is -1.862 eV/atom.

---

(11)
DFT (meta-GGA r2SCAN) results for crystalline ZnCuF5 at its relaxed geometry.

```
ZnCuF5
1.0
-4.6696 0.2653 -8.3713
0.4659 -4.9393 -0.4164
-5.6038 -3.1634 3.0256
Zn Cu F
4 4 20
direct
0.0121 0.5259 0.7500
0.5121 0.4741 0.7500
0.9879 0.4741 0.2500
0.4879 0.5259 0.2500
0.7563 0.0946 0.6096
0.2563 0.9054 0.8904
0.2437 0.9054 0.3904
0.7437 0.0946 0.1096
0.8802 0.4120 0.5667
0.3802 0.5880 0.9333
0.1198 0.5880 0.4333
0.6198 0.4120 0.0667
0.6057 0.3400 0.4993
0.1057 0.6600 0.0007
0.3943 0.6600 0.5007
0.8943 0.3400 0.9993
0.4105 0.1261 0.7805
0.9105 0.8739 0.7195
0.5895 0.8739 0.2195
0.0895 0.1261 0.2805
0.1485 0.2313 0.8492
0.6485 0.7687 0.6508
0.8515 0.7687 0.1508
0.3515 0.2313 0.3492
0.6820 0.1269 0.8499
0.1820 0.8731 0.6501
0.3180 0.8731 0.1501
0.8180 0.1269 0.3499
```

Results
As for the volume: 320 Å³ per cell. The formation energy is -1.982 eV/atom.

---

(12)
DFT (meta-GGA r2SCAN) results for crystalline Fe2CuGe2 at its relaxed geometry.

```
Fe2CuGe2
1.0
3.9258 0.0000 0.0000
0.0000 4.9439 -0.0001
0.0000 -0.0001 6.8746
Fe Cu Ge
4 2 4
direct
0.5000 0.2500 0.1532
0.5000 0.7500 0.8468
0.5000 0.5000 0.5000
0.5000 0.0000 0.5000
0.0000 0.0000 0.0000
0.0000 0.5000 0.0000
0.0000 0.2500 0.3723
0.0000 0.7500 0.6277
0.5000 0.7500 0.1940
0.5000 0.2500 0.8060
```

Results
As for the volume: 133 Å³ per cell. The formation energy is 0.045 eV/atom.

---

(13)
DFT (meta-GGA r2SCAN) results for crystalline Li2FeCuO4 at its relaxed geometry.

```
Li2FeCuO4
1.0
5.9280 -0.5553 -0.0006
-0.1935 5.9509 -0.0006
-2.8671 -2.6976 3.9373
Li Fe Cu O
4 2 2 8
direct
0.0007 0.4994 0.5002
0.5001 0.5000 0.5000
0.5006 0.9993 0.9998
0.5000 0.4999 0.0000
0.9999 0.5002 0.0000
0.4998 0.0001 0.5000
0.9999 0.0000 0.5001
0.0000 0.0001 0.9999
0.2626 0.7373 0.0185
0.2759 0.2029 0.4894
0.2627 0.7374 0.4815
0.7971 0.7241 0.0106
0.2026 0.2762 0.9893
0.7371 0.2628 0.5185
0.7238 0.7974 0.5107
0.7372 0.2629 0.9815
```

Results
As for the volume: 138 Å³ per cell. The formation energy is -1.570 eV/atom.

---

(14)
DFT (meta-GGA r2SCAN) results for crystalline LuFeCu at its relaxed geometry.

```
LuFeCu
1.0
-2.4703 2.6322 3.6685
2.4703 -2.6308 3.6673
2.4747 2.6351 -3.6673
Lu Fe Cu
2 2 2
direct
0.3659 0.1159 0.2501
0.6341 0.8841 0.7499
0.0000 0.5000 0.0000
0.0000 0.0000 0.5000
0.5000 0.5000 0.0000
0.0000 0.5000 0.5000
```

Results
As for the volume: 96 Å³ per cell. The formation energy is -0.073 eV/atom.

---

(15)
DFT (meta-GGA r2SCAN) results for crystalline FeCuO2 at its relaxed geometry.

```
FeCuO2
1.0
-1.5561 2.5316 -0.4990
-0.3266 -1.4807 2.6039
8.5503 6.1569 4.5735
Fe Cu O
2 2 4
direct
0.0000 0.0000 0.5000
0.0000 0.0000 0.0000
0.6667 0.3333 0.7500
0.3333 0.6667 0.2500
0.3333 0.6667 0.4088
0.6667 0.3333 0.9088
0.6667 0.3333 0.5912
0.3333 0.6667 0.0912
```

Results
As for the volume: 90 Å³ per cell. The formation energy is -1.219 eV/atom.

---

(16)
DFT (meta-GGA r2SCAN) results for crystalline FeCuO2 at its relaxed geometry.

```
FeCuO2
1.0
1.6464 -1.5428 5.4248
3.3083 -3.1416 3.7021
4.0234 -0.4101 4.2618
Fe Cu O
1 1 2
direct
0.5000 0.5000 0.5000
0.0000 0.0000 0.0000
0.8912 0.8912 0.8912
0.1088 0.1088 0.1088
```

Results
As for the volume: 40 Å³ per cell. The formation energy is -1.104 eV/atom.

---

(17)
DFT (meta-GGA r2SCAN) results for crystalline Fe3Cu2SnP6O24 at its relaxed geometry.

```
Fe3Cu2SnP6O24
1.0
8.4101 -0.1115 -0.0787
4.1391 7.3219 -0.0787
4.1390 2.3782 6.9253
Fe Cu Sn P O
3 2 1 6 24
direct
0.1452 0.1452 0.1452
0.3548 0.3548 0.3548
0.6442 0.6442 0.6442
0.0042 0.0042 0.0042
0.4992 0.4992 0.4992
0.8571 0.8571 0.8571
0.7479 0.4495 0.0497
0.0497 0.7479 0.4495
0.4495 0.0497 0.7479
0.2544 0.5426 0.9519
0.5426 0.9519 0.2544
0.9519 0.2544 0.5426
0.1069 0.3242 0.5006
0.3242 0.5006 0.1069
0.0638 0.9069 0.2524
0.5006 0.1069 0.3242
0.0131 0.8186 0.6041
0.2476 0.5906 0.4370
0.2524 0.0638 0.9069
0.4370 0.2476 0.5906
0.1796 0.3903 0.9948
0.5906 0.4370 0.2476
0.0946 0.7443 0.9412
0.3903 0.9948 0.1796
0.6041 0.0131 0.8186
0.9069 0.2524 0.0638
0.4084 0.5601 0.7517
0.8186 0.6041 0.0131
0.5601 0.7517 0.4084
0.7443 0.9412 0.0946
0.7517 0.4084 0.5601
0.9948 0.1796 0.3903
0.4976 0.8888 0.6823
0.9412 0.0946 0.7443
0.6823 0.4976 0.8888
0.8888 0.6823 0.4976
```

Results
As for the volume: 433 Å³ per cell. The formation energy is -1.961 eV/atom.

---

(18)
DFT (meta-GGA r2SCAN) results for crystalline Yb2Fe3Cu at its relaxed geometry.

```
Yb2Fe3Cu
1.0
4.5176 -2.5343 -0.0389
4.5176 2.5343 -0.0389
3.1318 0.0000 4.1261
Yb Fe Cu
2 3 1
direct
0.1235 0.1235 0.1235
0.8765 0.8765 0.8765
0.5000 0.0000 0.5000
0.0000 0.5000 0.5000
0.5000 0.5000 0.0000
0.5000 0.5000 0.5000
```

Results
As for the volume: 95 Å³ per cell. The formation energy is -0.056 eV/atom.

---

(19)
DFT (meta-GGA r2SCAN) results for crystalline GaCu3 at its relaxed geometry.

```
GaCu3
1.0
-1.8167 1.8167 3.6790
1.8167 -1.8167 3.6790
1.8167 1.8167 -3.6790
Ga Cu
1 3
direct
0.0000 0.0000 0.0000
0.7500 0.2500 0.5000
0.2500 0.7500 0.5000
0.5000 0.5000 0.0000
```

Results
As for the volume: 49 Å³ per cell. The formation energy is -0.098 eV/atom.

---

(20)
DFT (meta-GGA r2SCAN) results for crystalline GaCu3 at its relaxed geometry.

```
GaCu3
1.0
-0.0003 4.9043 1.5957
-4.3591 -2.7533 0.1272
0.9151 -1.2686 3.8992
Ga Cu
2 6
direct
0.3333 0.6667 0.7500
0.6667 0.3333 0.2500
0.1654 0.3308 0.2500
0.6692 0.8346 0.2500
0.1654 0.8346 0.2500
0.8346 0.6692 0.7500
0.3308 0.1654 0.7500
0.8346 0.1654 0.7500
```

Results
As for the volume: 97 Å³ per cell. The formation energy is -0.102 eV/atom.

---

(21)
DFT (meta-GGA r2SCAN) results for crystalline Ga2Cu at its relaxed geometry.

```
Ga2Cu
1.0
-0.6308 -0.6757 -2.6424
0.8194 -2.6338 0.4779
-5.3929 -1.3801 1.6403
Ga Cu
2 1
direct
0.5000 0.5000 0.2843
0.5000 0.5000 0.7157
0.0000 0.0000 0.0000
```

Results
As for the volume: 45 Å³ per cell. The formation energy is -0.080 eV/atom.